SmCo4Cu | PBE | relaxed

The space group is P-6m2 (No. 187) and the conventional cell measures 4.9776, 4.9776 and 3.9722 Å, with angles of 90.00, 90.00 and 120.00 degrees. The distinct sites, in fractional coordinates, are Sm at (0.0000, 0.0000, 0.0000), Co at (0.5011, 0.0022, 0.5000), Co at (0.6667, 0.3333, 0.0000) and Cu at (0.3333, 0.6667, 0.0000).

Its formation energy is -0.07 eV/atom. For the total moment, the calculation gives 5.17 μB per formula unit.